Record 1
! MgAl4H12O12 GGA-PBE relaxed; values from VASP
&SYSTEM
  ibrav = 0, nat = 29, ntyp = 4
/
ATOMIC_SPECIES
Mg 24.30 Mg.upf
Al 26.98 Al.upf
H 1.01 H.upf
O 16.00 O.upf
CELL_PARAMETERS angstrom
5.1846 0.0000 0.0000
2.2252 6.5984 0.0000
2.4083 1.0060 7.0298
ATOMIC_POSITIONS angstrom
Mg 0.0000 0.0000 0.0000
Al 1.3891 3.2148 0.2229
Al 3.8054 5.8728 4.7169
Al 3.8937 2.3983 1.5053
Al 6.3643 6.8936 3.6526
H 2.4748 2.1302 3.5341
H 4.1370 3.4248 4.8241
H 3.4260 4.7554 0.7892
H 4.4385 5.9909 2.1638
H 2.1781 0.6355 0.5207
H 6.0522 6.6035 6.1161
H 7.5271 6.3677 6.9359
H 5.4327 4.1378 2.3182
H 5.6033 1.5568 5.1659
H 6.8648 3.5006 5.9925
H 5.7583 0.9612 2.0700
H 7.4958 4.6766 3.1367
O 2.9061 3.9153 1.1249
O 4.3538 4.1898 5.3999
O 5.4058 6.8142 5.2583
O 2.3404 1.6347 0.7482
O 3.4304 2.1053 3.3327
O 4.8331 5.9127 3.0790
O 5.5048 3.3019 1.8091
O 4.8315 0.6739 1.8903
O 5.7893 0.9698 4.4107
O 7.3334 3.1137 6.7593
O 7.4019 5.2854 3.8971
O 8.4877 6.0205 6.6450
! magnetization = 0.02 μB per cell
! formation energy from the elements = -1898 meV/atom
! relative energy among the computed polymorphs = 0.097 eV/atom

=====

Record 2
! Na7Sc2Si3Ge2P3O24 GGA-PBE relaxed; values from VASP
&SYSTEM
  ibrav = 0, nat = 123, ntyp = 6
/
ATOMIC_SPECIES
Na 22.99 Na.upf
Sc 44.96 Sc.upf
Si 28.09 Si.upf
Ge 72.64 Ge.upf
P 30.97 P.upf
O 16.00 O.upf
CELL_PARAMETERS angstrom
8.9083 0.0000 0.0000
-4.4453 7.7211 0.0000
-0.0432 -0.2291 22.0254
ATOMIC_POSITIONS angstrom
Na 0.0000 0.0000 0.0000
Na -1.1469 1.8532 10.9014
Na -4.0220 7.3523 7.2526
Na -1.2121 2.3396 18.2819
Na -1.6568 7.2583 18.2559
Na 0.0306 4.5142 7.2942
Na 1.6140 2.0494 20.1311
Na 0.0356 4.8946 14.5738
Na 1.6850 2.2073 9.0416
Na 0.4433 4.5673 21.9986
Na -1.1418 7.5850 10.9867
Na 2.7144 4.7227 10.9480
Na 4.4403 1.7638 21.9976
Na 1.5986 7.3927 1.8703
Na 3.2690 4.3402 18.2384
Na 1.6776 7.2301 12.8274
Na 4.8107 2.1011 14.6371
Na 3.2599 5.0315 3.6144
Na 7.3160 2.1977 3.6315
Na 6.0166 4.7222 16.3952
Na 6.1028 4.7740 5.4473
Sc 1.6062 2.2698 1.4912
Sc 1.6392 2.1780 12.4404
Sc 1.6955 2.0711 16.7490
Sc 1.6403 7.2615 9.4571
Sc 1.6107 7.2496 20.5845
Sc 6.0872 4.5784 19.6814
Si -1.4986 2.6248 0.0015
Si -4.0917 7.6530 3.6431
Si -0.3266 4.7178 10.9363
Si -1.4925 7.4907 14.6104
Si 0.3277 4.5672 3.6659
Si 3.0120 4.4950 14.6188
Si 4.7673 1.7210 18.2546
Si 2.9824 4.9906 7.2532
Si 7.3875 1.8679 7.2553
Ge -2.8330 4.7814 13.2263
Ge -2.7271 4.8610 2.2626
Ge 1.5991 2.2117 5.8188
Ge 1.6339 7.2511 16.0035
Ge 1.7095 7.3293 5.0819
Ge 6.0691 4.6298 8.6313
P -1.0558 2.0826 14.6138
P -1.5619 6.8232 22.0028
P -0.9572 7.3800 7.2419
P 0.3443 4.9974 18.2568
P 4.2520 2.1783 3.6533
P 3.5163 4.5937 22.0185
P 4.8406 2.5613 10.9563
P 4.1762 7.2353 18.2544
P 4.8495 6.8765 10.9270
O -3.4821 6.1140 3.4603
O -1.9612 3.3514 14.4682
O -3.4221 6.2503 9.6514
O -1.7498 3.2779 20.6789
O -0.1981 1.8681 13.3593
O 0.4756 0.8529 2.3263
O 0.5703 0.7883 18.1516
O -0.2040 2.3718 15.8569
O 0.1360 2.0197 7.0811
O -1.3218 4.6018 3.4948
O -1.2756 4.4965 9.5942
O -2.1200 5.9717 14.4643
O 1.0390 0.5472 11.0370
O 1.0591 0.6332 4.9491
O 0.1243 2.4560 0.0502
O -2.1794 6.2649 20.7133
O -1.2716 4.9280 12.2684
O -1.8604 6.0936 7.3395
O -1.7900 6.1109 1.1899
O -1.1988 4.9128 18.3072
O 0.5347 3.5021 4.9156
O 2.2929 0.3674 15.9517
O 0.6073 3.3742 10.9781
O 2.3414 0.7455 0.1046
O 0.9253 3.5779 18.1352
O 2.5622 0.8930 7.0755
O 2.8061 0.7440 13.3159
O 1.0739 4.0210 2.3364
O 0.0163 7.0723 6.0688
O -0.0193 6.9032 21.9555
O 0.6158 5.9038 17.0190
O 0.6105 6.0592 10.9156
O -0.1814 7.5923 8.5508
O 0.9686 5.5680 19.5372
O 2.2590 3.5294 7.0197
O 3.1456 1.8955 18.2096
O 0.1643 7.3607 14.7898
O 1.0493 6.0304 3.8926
O 2.2234 3.8907 13.3222
O 3.4880 1.9747 2.3442
O 3.2729 2.4742 4.8280
O 2.6958 3.5500 0.0708
O 3.3051 2.4040 11.0281
O 2.8499 3.5176 15.9086
O 2.2278 5.5562 8.5755
O 4.9799 0.8267 19.5921
O 5.1854 0.9515 3.8227
O 2.2612 5.9435 14.8362
O 2.6080 5.8405 21.9561
O 5.5180 1.0014 16.9629
O 5.4935 1.1709 10.8609
O 2.7878 6.0403 5.9900
O 4.3415 4.4164 20.7334
O 5.0409 3.4757 9.7135
O 5.1362 3.4827 3.5729
O 4.6441 4.5154 14.3892
O 6.6673 0.9170 22.0055
O 3.2331 6.9777 17.0477
O 4.4648 5.0661 1.2444
O 5.4730 3.1890 12.2265
O 6.6911 1.1663 5.9453
O 5.4665 3.1983 18.2677
O 3.3133 7.0406 10.8665
O 3.1624 7.5136 3.8189
O 6.9376 0.8335 14.7511
O 4.6362 4.9701 7.4526
O 3.3697 7.4165 19.5548
O 7.2490 0.9546 8.5819
O 5.0487 5.9645 12.1669
O 6.6539 3.3507 1.2988
O 5.0812 5.9861 18.3087
O 6.7536 3.4007 7.3741
! magnetization = 0.00 μB per cell
! formation energy from the elements = -2785 meV/atom

=====

Record 3
! Na2Pr2MgTi2O8 GGA-PBE relaxed; values from VASP
&SYSTEM
  ibrav = 0, nat = 15, ntyp = 5
/
ATOMIC_SPECIES
Na 22.99 Na.upf
Pr 140.91 Pr.upf
Mg 24.30 Mg.upf
Ti 47.87 Ti.upf
O 16.00 O.upf
CELL_PARAMETERS angstrom
3.6569 0.0000 0.0000
0.0000 3.6569 0.0000
0.0000 0.0000 17.1566
ATOMIC_POSITIONS angstrom
Na 0.0000 1.8284 1.0542
Na 1.8284 0.0000 16.1024
Pr 0.0000 1.8284 5.3480
Pr 1.8284 0.0000 11.8086
Mg 1.8284 1.8284 8.5783
Ti 0.0000 1.8284 14.0950
Ti 1.8284 0.0000 3.0616
O 0.0000 0.0000 3.6234
O 0.0000 0.0000 13.5332
O 0.0000 1.8284 11.3066
O 0.0000 1.8284 15.8761
O 1.8284 0.0000 1.2805
O 1.8284 0.0000 5.8500
O 1.8284 1.8284 3.6246
O 1.8284 1.8284 13.5320
! magnetization = 0.00 μB per cell
! formation energy from the elements = -2924 meV/atom
! relative energy among the computed polymorphs = 0.096 eV/atom

=====

Record 4
! Na7La3MgSi3S3O24 GGA-PBE relaxed; values from VASP
&SYSTEM
  ibrav = 0, nat = 123, ntyp = 6
/
ATOMIC_SPECIES
Na 22.99 Na.upf
La 138.91 La.upf
Mg 24.30 Mg.upf
Si 28.09 Si.upf
S 32.06 S.upf
O 16.00 O.upf
CELL_PARAMETERS angstrom
9.5993 0.0000 0.0000
-4.7820 8.3958 0.0000
-0.1381 -0.1193 23.8347
ATOMIC_POSITIONS angstrom
Na 0.0000 0.0000 0.0000
Na -3.1397 5.3580 11.4332
Na -0.8609 5.4205 23.5684
Na -1.9733 8.1105 2.0521
Na 1.2958 2.5773 11.7909
Na -0.1537 5.2644 8.0058
Na 1.5007 2.6060 3.9132
Na 2.9680 0.0136 13.6088
Na 1.2822 3.1402 19.5999
Na -0.0567 5.5805 15.7284
Na 4.0081 2.6788 15.6535
Na 1.1849 7.9179 4.0250
Na 2.7453 5.2441 17.8850
Na 1.4015 8.1049 19.7680
Na 3.0317 5.6188 5.9007
Na 4.6506 3.2502 8.0945
Na 5.8339 5.0529 20.0601
Na 4.3099 8.0446 7.6509
Na 7.3585 2.8376 21.6484
Na 7.5540 2.8492 9.8943
Na 6.1226 5.9916 3.8607
La 2.8516 -0.0721 17.4479
La -1.8675 8.2047 21.9959
La -1.7095 8.1689 10.1696
La 2.8247 5.3965 13.9764
La 3.0749 5.5337 2.1818
La 7.7174 2.8338 1.4699
La 7.7616 2.6154 13.2322
La 7.7970 2.7768 6.1043
La 7.7572 2.6870 18.0880
Mg -2.0566 8.0080 5.3595
Mg 2.9655 5.2475 21.2510
Mg 2.9854 5.3978 9.5709
Si 1.0803 2.6292 15.7093
Si -0.3711 5.3683 3.8424
Si -0.3328 5.6504 19.7465
Si 0.0588 5.4099 11.6351
Si 4.3264 2.4659 19.6855
Si 4.3383 2.9707 11.6772
Si 5.7221 5.4151 23.5532
Si 9.2841 0.1755 3.8168
Si 6.1730 5.7622 7.7632
S 1.5766 2.3958 7.7402
S 1.3793 2.9306 23.5912
S 1.0490 8.2342 7.6475
S 1.4944 7.8611 23.5830
S 4.7572 2.5778 3.8893
S 6.2013 0.0731 15.7723
S 4.3342 7.9186 11.6005
S 6.2458 5.1972 15.7104
S 4.6631 8.1254 19.7863
O -4.0441 7.9366 18.6127
O -3.0677 6.6894 6.4453
O 0.6735 -0.0082 20.9904
O -3.7780 8.0714 11.5500
O -2.7206 6.4166 9.0982
O -2.9397 6.8155 23.6037
O -2.6434 6.4979 15.7934
O 1.3302 0.1152 3.9566
O -0.9779 4.1190 19.6555
O -0.8002 3.9657 11.6185
O 0.0758 2.5471 7.6731
O -1.0712 4.6511 2.5180
O 0.1200 2.5638 14.3775
O -0.1278 2.8636 23.6037
O 0.1595 2.7291 17.0754
O -0.6166 4.3777 5.1311
O -1.1118 6.3278 21.0337
O -1.0779 6.6141 11.6756
O 1.8412 1.5999 8.9598
O -1.0616 6.8563 3.9976
O 1.8840 1.5321 23.5156
O 2.1072 1.3326 15.7026
O 2.1101 1.7079 6.5367
O -0.6372 6.5771 18.3994
O 1.9850 3.6310 1.0407
O 0.8240 5.5405 13.0843
O 1.7894 3.7622 22.4423
O 1.0928 5.3839 10.3568
O 2.1794 3.7628 7.8309
O 1.9765 4.0424 15.7463
O 1.2683 5.4968 3.7139
O 3.5121 1.5327 11.6311
O 1.3005 5.5618 19.9445
O 3.9347 1.3640 4.0438
O 0.0123 8.0200 23.5527
O 4.7054 -0.0654 15.7497
O 0.1803 8.1485 6.4439
O 3.6960 1.8224 18.2957
O 4.0042 1.3827 20.8709
O 5.0010 0.0649 8.8506
O 1.8406 6.9719 7.7717
O 3.8218 3.6138 13.1122
O 3.8649 3.7667 3.7245
O 3.6255 3.9410 19.8533
O 1.9006 7.2446 1.0201
O 2.0106 7.1137 15.6926
O 1.9940 7.1115 22.4197
O 3.9867 3.9278 10.3928
O 5.6407 2.4055 2.7047
O 6.6403 0.7061 17.0383
O 6.5653 0.9312 14.6198
O 5.5904 2.8487 5.0861
O 6.7711 1.0016 7.5898
O 6.9600 0.7936 23.6356
O 5.9761 2.6140 19.6494
O 5.9932 2.8735 11.7093
O 4.5087 5.6558 7.8978
O 3.8183 6.9203 19.9193
O 3.8905 7.0275 3.7519
O 4.7823 5.3591 15.6341
O 4.7177 5.3811 22.2706
O 3.8223 7.1967 10.4183
O 4.0382 7.1872 12.8519
O 5.0421 5.6330 1.1525
O 8.5422 0.8615 5.1147
O 8.5290 0.8946 11.6272
O 6.5159 4.3840 16.9320
O 8.5619 0.9185 19.6103
O 6.8220 4.2086 7.7054
O 6.7720 4.1171 23.5598
O 6.7805 4.4803 14.5207
O 8.9516 1.0866 2.4618
! magnetization = 0.00 μB per cell
! formation energy from the elements = -2716 meV/atom

=====

Record 5
! LiMg3 GGA-PBE relaxed; values from VASP
&SYSTEM
  ibrav = 0, nat = 8, ntyp = 2
/
ATOMIC_SPECIES
Li 6.94 Li.upf
Mg 24.30 Mg.upf
CELL_PARAMETERS angstrom
4.5464 0.0000 0.0000
0.0000 4.5464 0.0000
0.0000 0.0000 8.4844
ATOMIC_POSITIONS angstrom
Li 0.0000 0.0000 0.0000
Li 2.2732 2.2732 4.2422
Mg 0.0000 0.0000 4.2422
Mg 0.0000 2.2732 2.1211
Mg 0.0000 2.2732 6.3633
Mg 2.2732 0.0000 2.1211
Mg 2.2732 0.0000 6.3633
Mg 2.2732 2.2732 0.0000
! magnetization = 0.00 μB per cell
! formation energy from the elements = -21 meV/atom

=====

Record 6
! HfAsPd GGA-PBE relaxed; values from VASP
&SYSTEM
  ibrav = 0, nat = 9, ntyp = 3
/
ATOMIC_SPECIES
Hf 178.49 Hf.upf
As 74.92 As.upf
Pd 106.42 Pd.upf
CELL_PARAMETERS angstrom
6.7400 0.0000 0.0000
-3.3700 5.8370 0.0000
0.0000 0.0000 3.9617
ATOMIC_POSITIONS angstrom
Hf -2.0067 3.4757 0.0000
Hf 1.3633 2.3614 0.0000
Hf 4.0134 0.0000 0.0000
As 0.0000 0.0000 0.0000
As 0.0000 3.8914 1.9809
As 3.3700 1.9457 1.9809
Pd -0.8894 1.5405 1.9809
Pd 1.7789 0.0000 1.9809
Pd 2.4806 4.2965 1.9809
! magnetization = 0.01 μB per cell
! formation energy from the elements = -793 meV/atom

=====

Record 7
! CaSnP2O7 GGA-PBE relaxed; values from VASP
&SYSTEM
  ibrav = 0, nat = 22, ntyp = 4
/
ATOMIC_SPECIES
Ca 40.08 Ca.upf
Sn 118.71 Sn.upf
P 30.97 P.upf
O 16.00 O.upf
CELL_PARAMETERS angstrom
6.8742 0.0000 0.0000
0.6560 6.9156 0.0000
2.9591 0.2353 6.3759
ATOMIC_POSITIONS angstrom
Ca 2.6695 1.0324 2.1461
Ca 7.8197 6.1185 4.2298
Sn 5.1207 2.5014 4.8048
Sn 5.3686 4.6495 1.5711
P 2.0074 4.5456 1.2370
P 4.6187 6.0328 4.8416
P 5.8705 1.1182 1.5343
P 8.4819 2.6054 5.1389
O 2.6865 2.4436 4.0674
O 3.3066 6.4834 4.2261
O 4.2117 5.2733 6.2122
O 2.4420 3.1013 0.9949
O 3.1847 5.5185 1.4440
O 4.9783 0.2334 5.1760
O 5.4113 5.0423 3.9349
O 5.0779 2.1086 2.4410
O 5.5110 6.9175 1.1999
O 7.3046 1.6325 4.9320
O 8.0473 4.0497 5.3810
O 6.2775 1.8777 0.1637
O 7.1826 0.6676 2.1499
O 7.8027 4.7073 2.3086
! magnetization = 0.00 μB per cell
! formation energy from the elements = -2758 meV/atom
! relative energy among the computed polymorphs = 0.027 eV/atom

=====

Record 8
! Zr4Co4Si7 GGA-PBE relaxed; values from VASP
&SYSTEM
  ibrav = 0, nat = 30, ntyp = 3
/
ATOMIC_SPECIES
Zr 91.22 Zr.upf
Co 58.93 Co.upf
Si 28.09 Si.upf
CELL_PARAMETERS angstrom
-6.4667 6.4667 2.5393
6.4667 -6.4667 2.5393
6.4667 6.4667 -2.5393
ATOMIC_POSITIONS angstrom
Zr 2.5481 0.0000 0.0000
Zr 10.3852 0.0000 0.0000
Zr 0.0000 2.5481 0.0000
Zr 4.6863 4.6863 0.0000
Zr 1.7804 -1.7804 2.5393
Zr -1.7804 1.7804 2.5393
Zr 1.7804 1.7804 2.5393
Zr 0.0000 10.3852 0.0000
Co 4.5630 -1.9036 1.2697
Co 8.3703 -1.9036 1.2697
Co 4.5630 1.9036 1.2697
Co 8.3703 1.9036 1.2697
Co -1.9036 4.5630 1.2697
Co 1.9036 4.5630 1.2697
Co -1.9036 8.3703 1.2697
Co 1.9036 8.3703 1.2697
Si 5.2775 0.0000 0.0000
Si 7.6559 0.0000 0.0000
Si 6.4667 2.5430 0.0000
Si 2.7336 2.7336 0.0000
Si 3.7331 -3.7331 2.5393
Si 0.0000 0.0000 1.2662
Si 0.0000 5.2775 0.0000
Si 2.5430 6.4667 0.0000
Si 3.9237 0.0000 2.5393
Si 0.0000 7.6559 0.0000
Si 0.0000 0.0000 3.8124
Si -3.7331 3.7331 2.5393
Si 3.7331 3.7331 2.5393
Si 0.0000 3.9237 2.5393
! magnetization = 0.12 μB per cell
! formation energy from the elements = -786 meV/atom

=====

Record 9
! CsMg6W GGA-PBE relaxed; values from VASP
&SYSTEM
  ibrav = 0, nat = 16, ntyp = 3
/
ATOMIC_SPECIES
Cs 132.91 Cs.upf
Mg 24.30 Mg.upf
W 183.84 W.upf
CELL_PARAMETERS angstrom
5.2525 0.0000 0.0000
0.0000 6.7361 0.0000
0.0000 0.0000 11.3526
ATOMIC_POSITIONS angstrom
Cs 0.0000 0.0000 0.0000
Cs 0.0000 3.3680 5.6763
Mg 0.0000 0.0000 5.3724
Mg 0.0000 1.4380 8.4370
Mg 0.0000 1.9300 2.7607
Mg 0.0000 3.3680 11.0487
Mg 0.0000 4.8061 2.7607
Mg 0.0000 5.2981 8.4370
Mg 2.6263 0.0000 3.4811
Mg 2.6263 1.4911 6.4657
Mg 2.6263 1.8770 0.7894
Mg 2.6263 3.3680 9.1574
Mg 2.6263 4.8591 0.7894
Mg 2.6263 5.2450 6.4657
W 2.6263 0.0000 8.8792
W 2.6263 3.3680 3.2029
! magnetization = 1.53 μB per cell
! formation energy from the elements = 695 meV/atom
! relative energy among the computed polymorphs = 0.151 eV/atom